# 1
DFT (r²SCAN) results for CsTa2P5O18 after structural relaxation.

ΔE_f	-252	kJ/mol of atoms
DFT total energy	-13.18	eV per atom
symmetry	P-1 (2)

POSCAR file:
```
CsTa2P5O18
1.0
5.152 0.020 0.007
0.973 10.893 0.001
0.746 1.720 14.306
Cs Ta P O
2 4 10 36
Direct
0.705 0.900 0.620 Cs
0.295 0.100 0.380 Cs
0.701 0.711 0.990 Ta
0.750 0.443 0.647 Ta
0.250 0.557 0.353 Ta
0.299 0.289 0.010 Ta
0.221 0.629 0.578 P
0.809 0.148 0.140 P
0.210 0.554 0.112 P
0.779 0.371 0.422 P
0.703 0.769 0.333 P
0.297 0.231 0.667 P
0.599 0.914 0.154 P
0.790 0.446 0.888 P
0.191 0.852 0.860 P
0.401 0.086 0.846 P
0.181 0.425 0.085 O
0.681 0.862 0.398 O
0.822 0.152 0.240 O
0.954 0.810 0.923 O
0.819 0.575 0.915 O
0.433 0.555 0.641 O
0.957 0.587 0.623 O
0.237 0.762 0.564 O
0.971 0.640 0.082 O
0.648 0.033 0.808 O
0.569 0.225 0.095 O
0.763 0.238 0.436 O
0.352 0.967 0.192 O
0.545 0.399 0.939 O
0.228 0.172 0.773 O
0.254 0.568 0.485 O
0.046 0.190 0.077 O
0.929 0.668 0.347 O
0.543 0.298 0.676 O
0.043 0.413 0.377 O
0.209 0.987 0.890 O
0.071 0.332 0.653 O
0.772 0.828 0.227 O
0.791 0.013 0.110 O
0.455 0.601 0.061 O
0.746 0.432 0.515 O
0.763 0.453 0.784 O
0.589 0.836 0.073 O
0.237 0.547 0.216 O
0.029 0.360 0.918 O
0.319 0.138 0.602 O
0.178 0.848 0.760 O
0.411 0.164 0.927 O
0.431 0.775 0.905 O
0.457 0.702 0.324 O
0.567 0.445 0.359 O
```



# 2
DFT (r²SCAN) results for CsTh2P3O12 after structural relaxation.

ΔE_f	-305	kJ/mol of atoms
DFT total energy	-18.20	eV per atom
symmetry	C2/c (15)

POSCAR file:
```
CsTh2P3O12
1.0
1.880 -5.995 7.309
7.748 -4.035 4.071
1.635 5.184 6.101
Cs Th P O
2 4 6 24
Direct
0.411 0.589 0.750 Cs
0.589 0.411 0.250 Cs
0.939 0.752 0.532 Th
0.248 0.061 0.968 Th
0.061 0.248 0.468 Th
0.752 0.939 0.032 Th
0.785 0.601 0.821 P
0.399 0.215 0.679 P
0.215 0.399 0.179 P
0.601 0.785 0.321 P
0.910 0.090 0.750 P
0.090 0.910 0.250 P
0.958 0.899 0.742 O
0.101 0.042 0.758 O
0.042 0.101 0.258 O
0.899 0.958 0.242 O
0.820 0.235 0.589 O
0.765 0.180 0.911 O
0.180 0.765 0.411 O
0.235 0.820 0.089 O
0.831 0.724 0.831 O
0.276 0.169 0.669 O
0.169 0.276 0.169 O
0.724 0.831 0.331 O
0.554 0.741 0.855 O
0.259 0.446 0.645 O
0.446 0.259 0.145 O
0.741 0.554 0.355 O
0.856 0.552 0.633 O
0.448 0.144 0.867 O
0.144 0.448 0.367 O
0.552 0.856 0.133 O
0.912 0.400 0.932 O
0.600 0.088 0.568 O
0.088 0.600 0.068 O
0.400 0.912 0.432 O
```



# 3
DFT (r²SCAN) results for CsV2P5O16 after structural relaxation.

ΔE_f	-241	kJ/mol of atoms
DFT total energy	-10.58	eV per atom
symmetry	Pc (7)

POSCAR file:
```
CsV2P5O16
1.0
-6.787 -4.202 5.031
-3.475 -2.036 -6.389
3.182 -9.165 -3.362
Cs V P O
2 4 10 32
Direct
0.804 0.000 0.754 Cs
0.196 0.000 0.254 Cs
0.369 0.924 0.862 V
0.631 0.924 0.362 V
0.143 0.377 0.468 V
0.857 0.377 0.968 V
0.873 0.278 0.303 P
0.127 0.278 0.803 P
0.861 0.614 0.372 P
0.139 0.614 0.872 P
0.706 0.570 0.628 P
0.294 0.570 0.128 P
0.460 0.515 0.492 P
0.540 0.515 0.992 P
0.419 0.125 0.525 P
0.581 0.125 0.025 P
0.988 0.228 0.413 O
0.012 0.228 0.913 O
0.746 0.152 0.348 O
0.254 0.152 0.848 O
0.932 0.299 0.159 O
0.068 0.299 0.659 O
0.819 0.492 0.284 O
0.181 0.492 0.784 O
0.800 0.809 0.304 O
0.200 0.809 0.804 O
0.018 0.611 0.396 O
0.982 0.611 0.896 O
0.787 0.498 0.521 O
0.213 0.498 0.021 O
0.770 0.479 0.769 O
0.230 0.479 0.269 O
0.700 0.783 0.566 O
0.300 0.783 0.066 O
0.552 0.482 0.632 O
0.448 0.482 0.132 O
0.306 0.516 0.525 O
0.694 0.516 0.025 O
0.520 0.685 0.378 O
0.480 0.685 0.878 O
0.495 0.333 0.458 O
0.505 0.333 0.958 O
0.260 0.155 0.505 O
0.740 0.155 0.005 O
0.461 0.046 0.677 O
0.539 0.046 0.177 O
0.470 0.016 0.439 O
0.530 0.016 0.939 O
```



# 4
DFT (r²SCAN) results for CsPaO3 after structural relaxation.

ΔE_f	-321	kJ/mol of atoms
DFT total energy	-27.31	eV per atom
symmetry	Pm-3m (221)

POSCAR file:
```
CsPaO3
1.0
-2.247 3.758 -0.671
-2.254 -1.934 -3.287
-3.081 -1.326 2.893
Cs Pa O
1 1 3
Direct
0.000 0.000 0.000 Cs
0.500 0.500 0.500 Pa
0.500 0.500 0.000 O
0.500 0.000 0.500 O
0.000 0.500 0.500 O
```



# 5
DFT (r²SCAN) results for Cs2PbO3 after structural relaxation.

ΔE_f	-131	kJ/mol of atoms
DFT total energy	-22.09	eV per atom
symmetry	Cmc2_1 (36)

POSCAR file:
```
Cs2PbO3
1.0
-5.721 0.852 -1.933
-1.242 -6.764 0.697
-1.475 3.374 5.851
Cs Pb O
4 2 6
Direct
0.244 0.484 0.809 Cs
0.744 0.191 0.516 Cs
0.744 0.516 0.191 Cs
0.244 0.809 0.484 Cs
0.735 0.911 0.911 Pb
0.235 0.089 0.089 Pb
0.718 0.651 0.651 O
0.218 0.349 0.349 O
0.988 0.871 0.120 O
0.488 0.129 0.880 O
0.988 0.120 0.871 O
0.488 0.880 0.129 O
```



# 6
DFT (r²SCAN) results for Cs2PbO3 after structural relaxation.

ΔE_f	-131	kJ/mol of atoms
DFT total energy	-22.09	eV per atom
symmetry	Cmcm (63)

POSCAR file:
```
Cs2PbO3
1.0
6.095 0.000 0.000
0.000 6.471 -2.442
0.000 -0.019 6.916
Cs Pb O
4 2 6
Direct
0.250 0.483 0.809 Cs
0.250 0.809 0.483 Cs
0.750 0.517 0.191 Cs
0.750 0.191 0.517 Cs
0.750 0.911 0.911 Pb
0.250 0.089 0.089 Pb
0.750 0.650 0.650 O
0.250 0.350 0.350 O
0.500 0.124 0.876 O
0.000 0.876 0.124 O
0.000 0.124 0.876 O
0.500 0.876 0.124 O
```



# 7
DFT (r²SCAN) results for Cs4PbO3 after structural relaxation.

ΔE_f	-124	kJ/mol of atoms
DFT total energy	-23.11	eV per atom
symmetry	P2_1 (4)

POSCAR file:
```
Cs4PbO3
1.0
-0.414 7.195 -1.220
-4.596 1.539 10.632
8.584 1.873 8.132
Cs Pb O
16 4 12
Direct
0.613 0.667 0.655 Cs
0.113 0.333 0.345 Cs
0.364 0.813 0.320 Cs
0.864 0.187 0.680 Cs
0.315 0.467 0.900 Cs
0.815 0.533 0.100 Cs
0.210 0.959 0.931 Cs
0.710 0.041 0.069 Cs
0.477 0.011 0.588 Cs
0.977 0.989 0.412 Cs
0.620 0.449 0.424 Cs
0.120 0.551 0.576 Cs
0.823 0.367 0.881 Cs
0.323 0.633 0.119 Cs
0.184 0.160 0.108 Cs
0.684 0.840 0.892 Cs
0.620 0.217 0.274 Pb
0.120 0.783 0.726 Pb
0.369 0.250 0.719 Pb
0.869 0.750 0.281 Pb
0.870 0.257 0.167 O
0.370 0.743 0.833 O
0.747 0.204 0.444 O
0.247 0.796 0.556 O
0.491 0.395 0.217 O
0.991 0.605 0.783 O
0.157 0.241 0.851 O
0.657 0.759 0.149 O
0.550 0.098 0.826 O
0.050 0.902 0.174 O
0.520 0.415 0.707 O
0.020 0.585 0.293 O
```



# 8
DFT (r²SCAN) results for Cs4PbO4 after structural relaxation.

ΔE_f	-131	kJ/mol of atoms
DFT total energy	-21.43	eV per atom
symmetry	P2_1/c (14)

POSCAR file:
```
Cs4PbO4
1.0
-1.377 -7.088 -1.724
11.513 -2.455 0.895
2.852 -3.251 11.089
Cs Pb O
16 4 16
Direct
0.416 0.704 0.938 Cs
0.333 0.108 0.371 Cs
0.916 0.796 0.062 Cs
0.833 0.392 0.629 Cs
0.667 0.892 0.629 Cs
0.819 0.209 0.423 Cs
0.319 0.291 0.577 Cs
0.888 0.581 0.842 Cs
0.388 0.919 0.158 Cs
0.612 0.081 0.842 Cs
0.584 0.296 0.062 Cs
0.681 0.709 0.423 Cs
0.084 0.204 0.938 Cs
0.112 0.419 0.158 Cs
0.167 0.608 0.371 Cs
0.181 0.791 0.577 Cs
0.375 0.491 0.760 Pb
0.875 0.009 0.240 Pb
0.125 0.991 0.760 Pb
0.625 0.509 0.240 Pb
0.486 0.671 0.212 O
0.336 0.012 0.637 O
0.514 0.329 0.788 O
0.014 0.171 0.212 O
0.164 0.512 0.637 O
0.537 0.647 0.689 O
0.037 0.853 0.311 O
0.963 0.147 0.689 O
0.664 0.988 0.363 O
0.236 0.973 0.927 O
0.764 0.027 0.073 O
0.463 0.353 0.311 O
0.736 0.527 0.073 O
0.264 0.473 0.927 O
0.836 0.488 0.363 O
0.986 0.829 0.788 O
```



# 9
DFT (r²SCAN) results for Cs3ReO5 after structural relaxation.

ΔE_f	-186	kJ/mol of atoms
DFT total energy	-19.44	eV per atom

POSCAR file:
```
Cs3ReO5
1.0
-2.589 6.746 -4.925
-8.764 -1.955 1.929
0.411 5.844 7.789
Cs Re O
12 4 20
Direct
0.250 0.000 0.481 Cs
0.750 0.000 0.519 Cs
0.250 0.500 0.019 Cs
0.750 0.500 0.981 Cs
0.250 0.000 0.019 Cs
0.750 0.000 0.981 Cs
0.250 0.500 0.481 Cs
0.750 0.500 0.519 Cs
0.555 0.250 0.250 Cs
0.445 0.750 0.750 Cs
0.945 0.750 0.250 Cs
0.055 0.250 0.750 Cs
0.008 0.250 0.250 Re
0.992 0.750 0.750 Re
0.492 0.750 0.250 Re
0.508 0.250 0.750 Re
0.214 0.250 0.250 O
0.786 0.750 0.750 O
0.286 0.750 0.250 O
0.714 0.250 0.750 O
0.588 0.575 0.250 O
0.412 0.425 0.750 O
0.912 0.425 0.250 O
0.912 0.075 0.250 O
0.088 0.575 0.750 O
0.088 0.925 0.750 O
0.588 0.925 0.250 O
0.412 0.075 0.750 O
0.500 0.250 0.559 O
0.500 0.750 0.441 O
0.000 0.750 0.559 O
0.000 0.750 0.941 O
0.000 0.250 0.441 O
0.000 0.250 0.059 O
0.500 0.250 0.941 O
0.500 0.750 0.059 O
```



# 10
DFT (r²SCAN) results for Cs5S4O16 after structural relaxation.

ΔE_f	-162	kJ/mol of atoms
DFT total energy	-11.81	eV per atom
symmetry	Cmcm (63)

POSCAR file:
```
Cs5S4O16
1.0
1.867 0.686 5.774
3.218 -3.589 -3.750
16.324 23.007 -8.013
Cs S O
10 8 32
Direct
0.981 0.019 0.250 Cs
0.019 0.981 0.750 Cs
0.654 0.346 0.131 Cs
0.346 0.654 0.869 Cs
0.654 0.346 0.369 Cs
0.346 0.654 0.631 Cs
0.333 0.667 0.030 Cs
0.667 0.333 0.970 Cs
0.333 0.667 0.470 Cs
0.667 0.333 0.530 Cs
0.999 0.001 0.070 S
0.001 0.999 0.930 S
0.999 0.001 0.430 S
0.001 0.999 0.570 S
0.685 0.315 0.811 S
0.315 0.685 0.189 S
0.685 0.315 0.689 S
0.315 0.685 0.311 S
0.989 0.011 0.120 O
0.011 0.989 0.880 O
0.989 0.011 0.380 O
0.011 0.989 0.620 O
0.866 0.134 0.053 O
0.134 0.866 0.947 O
0.866 0.134 0.447 O
0.134 0.866 0.553 O
0.261 0.129 0.054 O
0.129 0.261 0.946 O
0.261 0.129 0.446 O
0.129 0.261 0.554 O
0.739 0.871 0.946 O
0.871 0.739 0.054 O
0.739 0.871 0.554 O
0.871 0.739 0.446 O
0.681 0.319 0.862 O
0.319 0.681 0.138 O
0.681 0.319 0.638 O
0.319 0.681 0.362 O
0.552 0.448 0.794 O
0.448 0.552 0.206 O
0.552 0.448 0.706 O
0.448 0.552 0.294 O
0.946 0.444 0.796 O
0.444 0.946 0.204 O
0.946 0.444 0.704 O
0.444 0.946 0.296 O
0.054 0.556 0.204 O
0.556 0.054 0.796 O
0.054 0.556 0.296 O
0.556 0.054 0.704 O
```



# 11
DFT (r²SCAN) results for CsSO4 after structural relaxation.

ΔE_f	-148	kJ/mol of atoms
DFT total energy	-11.04	eV per atom
symmetry	P2_1/m (11)

POSCAR file:
```
CsSO4
1.0
-1.681 -5.587 0.730
0.822 0.440 5.259
-6.314 2.205 2.339
Cs S O
2 2 8
Direct
0.750 0.459 0.240 Cs
0.250 0.541 0.760 Cs
0.750 0.018 0.744 S
0.250 0.982 0.256 S
0.750 0.740 0.796 O
0.250 0.260 0.204 O
0.750 0.136 0.914 O
0.250 0.864 0.086 O
0.959 0.115 0.633 O
0.041 0.885 0.367 O
0.459 0.885 0.367 O
0.541 0.115 0.633 O
```



# 12
DFT (r²SCAN) results for CsSO4 after structural relaxation.

ΔE_f	-149	kJ/mol of atoms
DFT total energy	-11.05	eV per atom
symmetry	P2_1/c (14)

POSCAR file:
```
CsSO4
1.0
7.535 0.000 -2.507
0.000 5.855 0.000
-0.101 0.000 10.422
Cs S O
4 4 16
Direct
0.086 0.767 0.835 Cs
0.586 0.733 0.335 Cs
0.914 0.233 0.165 Cs
0.414 0.267 0.665 Cs
0.133 0.721 0.400 S
0.633 0.779 0.900 S
0.867 0.279 0.600 S
0.367 0.221 0.100 S
0.237 0.525 0.385 O
0.737 0.975 0.885 O
0.763 0.475 0.615 O
0.263 0.025 0.115 O
0.116 0.729 0.539 O
0.616 0.771 0.039 O
0.884 0.271 0.461 O
0.384 0.229 0.961 O
0.962 0.735 0.295 O
0.462 0.765 0.795 O
0.038 0.265 0.705 O
0.538 0.235 0.205 O
0.236 0.939 0.411 O
0.736 0.561 0.911 O
0.764 0.061 0.589 O
0.264 0.439 0.089 O
```